DFT (PBE) results for a geometry-optimized LiCu4P3O12 structure.

Unit cell a=8.655 b=8.655 c=6.387 alpha=108.64 beta=108.64 gamma=92.70
Atoms (fractional coordinates):
1 Li 0.024 0.976 0.500
2 Li 0.976 0.024 0.000
3 Cu 0.062 0.378 0.389
4 Cu 0.250 0.751 0.003
5 Cu 0.378 0.062 0.889
6 Cu 0.496 0.499 0.756
7 Cu 0.499 0.496 0.256
8 Cu 0.621 0.935 0.609
9 Cu 0.751 0.250 0.503
10 Cu 0.935 0.621 0.109
11 P 0.127 0.337 0.890
12 P 0.295 0.703 0.502
13 P 0.337 0.127 0.390
14 P 0.662 0.872 0.112
15 P 0.703 0.295 0.002
16 P 0.872 0.662 0.612
17 O 0.004 0.337 0.652
18 O 0.038 0.396 0.071
19 O 0.154 0.155 0.856
20 O 0.155 0.154 0.356
21 O 0.180 0.733 0.281
22 O 0.266 0.820 0.723
23 O 0.279 0.527 0.527
24 O 0.289 0.461 0.971
25 O 0.337 0.004 0.152
26 O 0.396 0.038 0.571
27 O 0.461 0.289 0.471
28 O 0.471 0.714 0.480
29 O 0.527 0.279 0.027
30 O 0.534 0.713 0.035
31 O 0.605 0.959 0.929
32 O 0.663 0.997 0.351
33 O 0.713 0.534 0.535
34 O 0.714 0.471 0.980
35 O 0.733 0.180 0.781
36 O 0.820 0.266 0.223
37 O 0.842 0.843 0.146
38 O 0.843 0.842 0.646
39 O 0.959 0.605 0.429
40 O 0.997 0.663 0.851

Calculated values
- Density: 4.28 g cm⁻³
- Spin magnetization: 6.513 μB per cell
- E_form: -1910 meV per atom
- Energy above the lowest structure with this stoichiometry: 48 meV per atom
- Raw total energy: -6.194 eV per atom